Computed, not measured: Pu2B6Ru after structural relaxation at the PBE level of DFT.

Cell: 9.392 11.448 3.567 Å, 90.00 90.00 90.00°
Sites, in units of the cell vectors:
Pu 0.044 0.107 0.000
Pu 0.163 0.407 0.000
Pu 0.337 0.907 0.000
Pu 0.456 0.607 0.000
Pu 0.544 0.393 0.000
Pu 0.663 0.093 0.000
Pu 0.837 0.593 0.000
Pu 0.956 0.893 0.000
B 0.011 0.282 0.500
B 0.052 0.569 0.500
B 0.146 0.811 0.500
B 0.146 0.959 0.500
B 0.197 0.225 0.500
B 0.242 0.576 0.500
B 0.258 0.076 0.500
B 0.303 0.725 0.500
B 0.354 0.311 0.500
B 0.354 0.459 0.500
B 0.448 0.069 0.500
B 0.489 0.782 0.500
B 0.511 0.218 0.500
B 0.552 0.931 0.500
B 0.646 0.541 0.500
B 0.646 0.689 0.500
B 0.697 0.275 0.500
B 0.742 0.924 0.500
B 0.758 0.424 0.500
B 0.803 0.775 0.500
B 0.854 0.041 0.500
B 0.854 0.189 0.500
B 0.948 0.431 0.500
B 0.989 0.718 0.500
Ru 0.145 0.680 0.000
Ru 0.355 0.180 0.000
Ru 0.645 0.820 0.000
Ru 0.855 0.320 0.000

Energy relative to the elements in meV/atom: -521
Calculated total energy in eV per atom: -9.175